Entry 1:
A plane-wave DFT calculation with r2SCAN was carried out for an optimized crystal structure of Hf2CoIr.

Properties
Total moment (μB per cell): 1.81
Calculated density (Mg/m³): 15.07
Energy of formation (eV/atom): -0.79

a b c (Å): 4.5587 4.5587 4.5587
angles (deg): 60.00 60.00 60.00
Atoms (fractional coordinates):
1 Hf 0.0000 0.0000 0.0000
2 Hf 0.5000 0.5000 0.5000
3 Co 0.2500 0.2500 0.2500
4 Ir 0.7500 0.7500 0.7500



Entry 2:
A plane-wave DFT calculation with r2SCAN was carried out for an optimized crystal structure of Be3N2.

Properties
Total moment (μB per cell): 0.00
Calculated density (Mg/m³): 2.72
Energy of formation (eV/atom): -1.25

a b c (Å): 7.0386 7.0386 7.0386
angles (deg): 109.47 109.47 109.47
Atoms (fractional coordinates):
1 Be 0.5265 0.7662 0.5309
2 Be 0.9956 0.9691 0.7353
3 Be 0.2603 0.7647 0.7338
4 Be 0.5044 0.2397 0.9735
5 Be 0.9691 0.7353 0.9956
6 Be 0.7338 0.2603 0.7647
7 Be 0.2397 0.9735 0.5044
8 Be 0.5309 0.5265 0.7662
9 Be 0.7662 0.5309 0.5265
10 Be 0.7353 0.9956 0.9691
11 Be 0.7647 0.7338 0.2603
12 Be 0.9735 0.5044 0.2397
13 Be 0.4735 0.2338 0.4691
14 Be 0.0044 0.0309 0.2647
15 Be 0.7397 0.2353 0.2662
16 Be 0.4956 0.7603 0.0265
17 Be 0.0309 0.2647 0.0044
18 Be 0.2662 0.7397 0.2353
19 Be 0.7603 0.0265 0.4956
20 Be 0.4691 0.4735 0.2338
21 Be 0.2338 0.4691 0.4735
22 Be 0.2647 0.0044 0.0309
23 Be 0.2353 0.2662 0.7397
24 Be 0.0265 0.4956 0.7603
25 N 0.2500 0.2288 0.9788
26 N 0.2712 0.5212 0.7500
27 N 0.5212 0.7500 0.2712
28 N 0.2288 0.9788 0.2500
29 N 0.9788 0.2500 0.2288
30 N 0.7500 0.2712 0.5212
31 N 0.7500 0.7712 0.0212
32 N 0.7288 0.4788 0.2500
33 N 0.4788 0.2500 0.7288
34 N 0.7712 0.0212 0.7500
35 N 0.0212 0.7500 0.7712
36 N 0.2500 0.7288 0.4788
37 N 0.5000 0.5000 0.5000
38 N 0.0000 0.0000 0.5000
39 N 0.5000 0.0000 0.0000
40 N 0.0000 0.5000 0.0000



Entry 3:
A plane-wave DFT calculation with r2SCAN was carried out for an optimized crystal structure of TmNi2.

Properties
Total moment (μB per cell): 0.00
Calculated density (Mg/m³): 10.96
Energy of formation (eV/atom): -0.47

a b c (Å): 9.9384 9.9384 9.9384
angles (deg): 60.00 60.00 60.00
Atoms (fractional coordinates):
1 Tm 0.0000 0.0000 0.0000
2 Tm 0.5000 0.5000 0.5000
3 Tm 0.6250 0.6250 0.6250
4 Tm 0.6250 0.6250 0.1249
5 Tm 0.1249 0.6250 0.6250
6 Tm 0.6250 0.1249 0.6250
7 Tm 0.1250 0.1250 0.1250
8 Tm 0.1250 0.1250 0.6250
9 Tm 0.6250 0.1250 0.1250
10 Tm 0.1250 0.6250 0.1250
11 Tm 0.5000 0.0000 0.0000
12 Tm 0.0000 0.0000 0.5000
13 Tm 0.5000 0.5000 0.0000
14 Tm 0.0000 0.5000 0.5000
15 Tm 0.0000 0.5000 0.0000
16 Tm 0.5000 0.0000 0.5000
17 Ni 0.3125 0.3125 0.3125
18 Ni 0.3125 0.3125 0.0624
19 Ni 0.0624 0.3125 0.3125
20 Ni 0.3125 0.0624 0.3125
21 Ni 0.8125 0.8125 0.8125
22 Ni 0.8125 0.8125 0.5625
23 Ni 0.5625 0.8125 0.8125
24 Ni 0.8125 0.5625 0.8125
25 Ni 0.8125 0.8125 0.3126
26 Ni 0.8125 0.3125 0.0624
27 Ni 0.0624 0.8125 0.8125
28 Ni 0.8125 0.0624 0.8125
29 Ni 0.3125 0.8125 0.0624
30 Ni 0.3125 0.0624 0.8125
31 Ni 0.0624 0.3125 0.8125
32 Ni 0.3125 0.8125 0.8125
33 Ni 0.8125 0.3126 0.8125
34 Ni 0.0624 0.8125 0.3125
35 Ni 0.8125 0.0624 0.3125
36 Ni 0.8125 0.8125 0.0624
37 Ni 0.3125 0.3125 0.8125
38 Ni 0.3125 0.8125 0.5625
39 Ni 0.5625 0.3125 0.3125
40 Ni 0.3125 0.5625 0.3125
41 Ni 0.8125 0.3125 0.5625
42 Ni 0.8125 0.5625 0.3125
43 Ni 0.5625 0.8125 0.3125
44 Ni 0.8125 0.3125 0.3125
45 Ni 0.3125 0.8125 0.3125
46 Ni 0.5625 0.3125 0.8125
47 Ni 0.3125 0.5625 0.8125
48 Ni 0.3125 0.3125 0.5625